Compound: LiO8
Source: Materials Project
Functional: PBE
Structure: optimized geometry

Geometry as POSCAR:
```
LiO8
1.0
4.264 -0.039 1.654
1.549 5.106 1.946
0.054 0.034 5.680
Li O
1 8
Direct
0.009 0.605 0.605
0.848 0.277 0.799
0.161 0.211 0.740
0.161 0.740 0.211
0.848 0.799 0.277
0.830 0.201 0.201
0.175 0.783 0.783
0.131 0.142 0.142
0.864 0.848 0.848
```

Output
* energy relative to the elements: -312 kJ/mol of formula units
* total DFT energy (no corrections): -43.4 eV per cell
* magnetization: 1.00 μB per formula unit
* space group: No. 8